Record 1
{"formula": "ZrVFe", "functional": "r2SCAN", "state": "relaxed", "space_group": "Amm2", "m_tot_mub_per_cell": 2.94, "delta_e_f_mev_per_atom": -94, "cell": [[8.388, 0.000, 0.000], [0.000, 2.566, 4.384], [0.000, -2.566, 4.384]], "species": ["Zr", "Zr", "Zr", "Zr", "V", "V", "V", "V", "Fe", "Fe", "Fe", "Fe"], "fractional_positions": [[0.181, 0.000, 0.000], [0.308, 0.666, 0.666], [0.692, 0.666, 0.666], [0.819, 0.000, 0.000], [0.241, 0.331, 0.331], [0.500, 0.166, 0.670], [0.500, 0.670, 0.166], [0.759, 0.331, 0.331], [0.000, 0.505, 0.505], [0.000, 0.505, 0.993], [0.000, 0.993, 0.505], [0.500, 0.167, 0.167]]}

---

Record 2
{"formula": "YMg3", "functional": "r2SCAN", "state": "relaxed", "space_group": "P4/mmm", "m_tot_mub_per_cell": 0.00, "delta_e_f_mev_per_atom": -54, "cell": [[4.887, 0.000, 0.000], [0.000, 4.887, 0.000], [0.000, 0.000, 4.220]], "species": ["Y", "Mg", "Mg", "Mg"], "fractional_positions": [[0.000, 0.000, 0.000], [0.000, 0.500, 0.500], [0.500, 0.000, 0.500], [0.500, 0.500, 0.000]]}

---

Record 3
{"formula": "Sn", "functional": "r2SCAN", "state": "relaxed", "e_above_lowest_polymorph_kj_per_mol_atoms": 11.6, "space_group": "I4_1/amd", "m_tot_mub_per_cell": 0.00, "delta_e_f_mev_per_atom": 120, "cell": [[5.880, 0.000, 0.000], [0.000, 5.880, 0.000], [0.000, 0.000, 3.199]], "species": ["Sn", "Sn", "Sn", "Sn"], "fractional_positions": [[0.000, 0.250, 0.375], [0.000, 0.750, 0.625], [0.500, 0.250, 0.125], [0.500, 0.750, 0.875]]}

---

Record 4
{"formula": "GdH3", "functional": "r2SCAN", "state": "relaxed", "space_group": "P6_3/mmc", "m_tot_mub_per_cell": 14.00, "delta_e_f_mev_per_atom": -669, "cell": [[3.722, 0.000, 0.000], [-1.861, 3.223, 0.000], [0.000, 0.000, 6.708]], "species": ["Gd", "Gd", "H", "H", "H", "H", "H", "H"], "fractional_positions": [[0.333, 0.667, 0.250], [0.667, 0.333, 0.750], [0.000, 0.000, 0.250], [0.000, 0.000, 0.750], [0.333, 0.667, 0.594], [0.333, 0.667, 0.906], [0.667, 0.333, 0.094], [0.667, 0.333, 0.406]]}

---

Record 5
{"formula": "KP2Rh2", "functional": "r2SCAN", "state": "relaxed", "space_group": "I4/mmm", "m_tot_mub_per_cell": 0.00, "delta_e_f_mev_per_atom": -837, "cell": [[3.900, 0.000, 0.000], [0.000, 3.900, 0.000], [0.000, 0.000, 13.154]], "species": ["K", "K", "P", "P", "P", "P", "Rh", "Rh", "Rh", "Rh"], "fractional_positions": [[0.000, 0.000, 0.000], [0.500, 0.500, 0.500], [0.000, 0.000, 0.346], [0.000, 0.000, 0.654], [0.500, 0.500, 0.154], [0.500, 0.500, 0.846], [0.000, 0.500, 0.250], [0.000, 0.500, 0.750], [0.500, 0.000, 0.250], [0.500, 0.000, 0.750]]}

---

Record 6
{"formula": "CaP2H4O4", "functional": "r2SCAN", "state": "relaxed", "space_group": "C2/c", "m_tot_mub_per_cell": 0.00, "delta_e_f_mev_per_atom": -1635, "cell": [[7.547, -2.844, 0.000], [7.547, 2.844, 0.000], [-1.348, 0.000, 6.439]], "species": ["Ca", "Ca", "P", "P", "P", "P", "H", "H", "H", "H", "H", "H", "H", "H", "O", "O", "O", "O", "O", "O", "O", "O"], "fractional_positions": [[0.167, 0.833, 0.750], [0.833, 0.167, 0.250], [0.175, 0.541, 0.280], [0.459, 0.825, 0.220], [0.541, 0.175, 0.780], [0.825, 0.459, 0.720], [0.058, 0.597, 0.078], [0.094, 0.466, 0.366], [0.403, 0.942, 0.422], [0.466, 0.094, 0.866], [0.534, 0.906, 0.134], [0.597, 0.058, 0.578], [0.906, 0.534, 0.634], [0.942, 0.403, 0.922], [0.063, 0.786, 0.395], [0.214, 0.937, 0.105], [0.323, 0.456, 0.770], [0.456, 0.323, 0.270], [0.544, 0.677, 0.730], [0.677, 0.544, 0.230], [0.786, 0.063, 0.895], [0.937, 0.214, 0.605]]}

---

Record 7
{"formula": "PtBr3", "functional": "r2SCAN", "state": "relaxed", "space_group": "R-3", "m_tot_mub_per_cell": 0.00, "delta_e_f_mev_per_atom": -351, "cell": [[11.339, 6.546, 3.050], [-11.339, 6.546, 3.050], [0.000, -13.093, 3.050]], "species": ["Pt", "Pt", "Pt", "Pt", "Pt", "Pt", "Pt", "Pt", "Pt", "Pt", "Pt", "Pt", "Br", "Br", "Br", "Br", "Br", "Br", "Br", "Br", "Br", "Br", "Br", "Br", "Br", "Br", "Br", "Br", "Br", "Br", "Br", "Br", "Br", "Br", "Br", "Br", "Br", "Br", "Br", "Br", "Br", "Br", "Br", "Br", "Br", "Br", "Br", "Br"], "fractional_positions": [[0.064, 0.166, 0.244], [0.166, 0.244, 0.064], [0.197, 0.523, 0.769], [0.231, 0.803, 0.477], [0.244, 0.064, 0.166], [0.477, 0.231, 0.803], [0.523, 0.769, 0.197], [0.756, 0.936, 0.834], [0.769, 0.197, 0.523], [0.803, 0.477, 0.231], [0.834, 0.756, 0.936], [0.936, 0.834, 0.756], [0.025, 0.267, 0.688], [0.053, 0.554, 0.400], [0.077, 0.823, 0.099], [0.099, 0.077, 0.823], [0.147, 0.371, 0.532], [0.169, 0.652, 0.236], [0.177, 0.901, 0.923], [0.225, 0.402, 0.302], [0.236, 0.169, 0.652], [0.267, 0.688, 0.025], [0.302, 0.225, 0.402], [0.312, 0.975, 0.733], [0.348, 0.764, 0.831], [0.371, 0.532, 0.147], [0.400, 0.053, 0.554], [0.402, 0.302, 0.225], [0.446, 0.600, 0.947], [0.468, 0.853, 0.629], [0.532, 0.147, 0.371], [0.554, 0.400, 0.053], [0.598, 0.698, 0.775], [0.600, 0.947, 0.446], [0.629, 0.468, 0.853], [0.652, 0.236, 0.169], [0.688, 0.025, 0.267], [0.698, 0.775, 0.598], [0.733, 0.312, 0.975], [0.764, 0.831, 0.348], [0.775, 0.598, 0.698], [0.823, 0.099, 0.077], [0.831, 0.348, 0.764], [0.853, 0.629, 0.468], [0.901, 0.923, 0.177], [0.923, 0.177, 0.901], [0.947, 0.446, 0.600], [0.975, 0.733, 0.312]]}

---

Record 8
{"formula": "YCu2", "functional": "r2SCAN", "state": "relaxed", "space_group": "Imma", "m_tot_mub_per_cell": 0.00, "delta_e_f_mev_per_atom": -247, "cell": [[4.292, 0.000, 0.000], [0.000, 6.808, 0.000], [0.000, 0.000, 7.247]], "species": ["Y", "Y", "Y", "Y", "Cu", "Cu", "Cu", "Cu", "Cu", "Cu", "Cu", "Cu"], "fractional_positions": [[0.000, 0.250, 0.044], [0.000, 0.750, 0.956], [0.500, 0.250, 0.456], [0.500, 0.750, 0.544], [0.000, 0.053, 0.665], [0.000, 0.447, 0.665], [0.000, 0.553, 0.335], [0.000, 0.947, 0.335], [0.500, 0.053, 0.835], [0.500, 0.447, 0.835], [0.500, 0.553, 0.165], [0.500, 0.947, 0.165]]}